(1)
The following is a PBE calculation of a relaxed Pr14C14Cl9 crystal, from the Materials Project database.

Values from the calculation:
- Total energy: -497.230 eV for the cell shown
- E_form: -1.118 eV per atom
- Theoretical density: 5.29 g/cm3
- Calculated volume: 1545.2 Å³/cell
- Space-group type: No. 7

Cell lengths 7.693, 29.935, 6.912 Å; angles 90.00, 103.86, 90.00 degrees
Element x y z (fractional)
Pr1 0.000 0.031 0.000
Pr2 0.000 0.969 0.500
Pr3 0.067 0.468 0.970
Pr4 0.067 0.532 0.470
Pr5 0.217 0.248 0.232
Pr6 0.217 0.752 0.732
Pr7 0.222 0.185 0.734
Pr8 0.222 0.815 0.234
Pr9 0.290 0.319 0.725
Pr10 0.290 0.681 0.225
Pr11 0.297 0.113 0.239
Pr12 0.297 0.887 0.739
Pr13 0.364 0.385 0.211
Pr14 0.364 0.615 0.711
Pr15 0.375 0.044 0.728
Pr16 0.375 0.956 0.228
Pr17 0.438 0.455 0.696
Pr18 0.438 0.545 0.196
Pr19 0.843 0.259 0.506
Pr20 0.843 0.741 0.006
Pr21 0.847 0.171 0.010
Pr22 0.847 0.829 0.510
Pr23 0.915 0.330 0.987
Pr24 0.915 0.670 0.487
Pr25 0.924 0.104 0.498
Pr26 0.924 0.896 0.998
Pr27 0.990 0.398 0.476
Pr28 0.990 0.602 0.976
C1 0.042 0.309 0.386
C2 0.042 0.691 0.886
C3 0.052 0.121 0.896
C4 0.052 0.879 0.396
C5 0.094 0.267 0.840
C6 0.094 0.733 0.340
C7 0.099 0.165 0.345
C8 0.099 0.835 0.845
C9 0.116 0.380 0.877
C10 0.116 0.620 0.377
C11 0.121 0.051 0.392
C12 0.121 0.949 0.892
C13 0.160 0.335 0.323
C14 0.160 0.665 0.823
C15 0.173 0.095 0.839
C16 0.173 0.905 0.339
C17 0.192 0.449 0.360
C18 0.192 0.551 0.860
C19 0.229 0.020 0.344
C20 0.229 0.980 0.844
C21 0.236 0.406 0.815
C22 0.236 0.594 0.315
C23 0.296 0.481 0.307
C24 0.296 0.519 0.807
C25 0.988 0.236 0.893
C26 0.988 0.764 0.393
C27 0.990 0.197 0.393
C28 0.990 0.803 0.893
Cl1 0.487 0.190 0.122
Cl2 0.487 0.810 0.622
Cl3 0.489 0.244 0.618
Cl4 0.489 0.756 0.118
Cl5 0.555 0.303 0.118
Cl6 0.555 0.697 0.618
Cl7 0.559 0.132 0.626
Cl8 0.559 0.868 0.126
Cl9 0.641 0.358 0.600
Cl10 0.641 0.642 0.100
Cl11 0.664 0.084 0.109
Cl12 0.664 0.916 0.609
Cl13 0.726 0.413 0.084
Cl14 0.726 0.587 0.584
Cl15 0.734 0.027 0.614
Cl16 0.734 0.973 0.114
Cl17 0.791 0.473 0.583
Cl18 0.791 0.527 0.083

=====

(2)
The following is a PBE calculation of a relaxed Si8C3Cl20 crystal, from the Materials Project database.

Values from the calculation:
- Total energy: -553.518 eV for the cell shown
- E_form: -1.374 eV per atom
- Theoretical density: 1.90 g/cm3
- Calculated volume: 3398.9 Å³/cell
- Space-group type: No. 15

Cell lengths 17.129, 17.129, 20.797 Å; angles 114.85, 114.85, 38.46 degrees
Element x y z (fractional)
Si1 0.013 0.839 0.799
Si2 0.077 0.763 0.954
Si3 0.097 0.614 0.837
Si4 0.103 0.183 0.656
Si5 0.104 0.562 0.985
Si6 0.161 0.987 0.701
Si7 0.183 0.103 0.156
Si8 0.237 0.923 0.546
Si9 0.258 0.368 0.524
Si10 0.314 0.489 0.126
Si11 0.315 0.440 0.960
Si12 0.368 0.258 0.024
Si13 0.386 0.903 0.663
Si14 0.438 0.896 0.515
Si15 0.440 0.315 0.460
Si16 0.489 0.314 0.626
Si17 0.511 0.686 0.374
Si18 0.560 0.685 0.540
Si19 0.562 0.104 0.485
Si20 0.614 0.097 0.337
Si21 0.632 0.742 0.976
Si22 0.685 0.560 0.040
Si23 0.686 0.511 0.874
Si24 0.742 0.632 0.476
Si25 0.763 0.077 0.454
Si26 0.817 0.897 0.844
Si27 0.839 0.013 0.299
Si28 0.896 0.438 0.015
Si29 0.897 0.817 0.344
Si30 0.903 0.386 0.163
Si31 0.923 0.237 0.046
Si32 0.987 0.161 0.201
C1 0.007 0.208 0.144
C2 0.144 0.599 0.936
C3 0.208 0.007 0.644
C4 0.280 0.428 0.029
C5 0.401 0.856 0.564
C6 0.428 0.280 0.529
C7 0.572 0.720 0.471
C8 0.599 0.144 0.436
C9 0.720 0.572 0.971
C10 0.792 0.993 0.356
C11 0.856 0.401 0.064
C12 0.993 0.792 0.856
Cl1 0.008 0.758 0.694
Cl2 0.016 0.296 0.942
Cl3 0.021 0.555 0.763
Cl4 0.026 0.502 0.916
Cl5 0.031 0.871 0.301
Cl6 0.045 0.096 0.973
Cl7 0.082 0.707 0.392
Cl8 0.096 0.045 0.473
Cl9 0.100 0.264 0.762
Cl10 0.129 0.969 0.199
Cl11 0.131 0.556 0.519
Cl12 0.174 0.204 0.614
Cl13 0.177 0.787 0.828
Cl14 0.194 0.304 0.438
Cl15 0.204 0.174 0.114
Cl16 0.213 0.823 0.672
Cl17 0.215 0.752 0.988
Cl18 0.226 0.533 0.197
Cl19 0.237 0.365 0.612
Cl20 0.242 0.992 0.806
Cl21 0.248 0.785 0.512
Cl22 0.254 0.651 0.130
Cl23 0.255 0.517 0.803
Cl24 0.264 0.100 0.262
Cl25 0.293 0.918 0.108
Cl26 0.296 0.016 0.442
Cl27 0.301 0.359 0.373
Cl28 0.304 0.194 0.938
Cl29 0.349 0.746 0.370
Cl30 0.359 0.301 0.873
Cl31 0.361 0.504 0.666
Cl32 0.365 0.237 0.112
Cl33 0.420 0.460 0.492
Cl34 0.444 0.869 0.981
Cl35 0.445 0.979 0.737
Cl36 0.460 0.420 0.992
Cl37 0.467 0.774 0.303
Cl38 0.483 0.745 0.697
Cl39 0.496 0.639 0.834
Cl40 0.498 0.974 0.584
Cl41 0.502 0.026 0.416
Cl42 0.504 0.361 0.166
Cl43 0.517 0.255 0.303
Cl44 0.533 0.226 0.697
Cl45 0.540 0.580 0.008
Cl46 0.555 0.021 0.263
Cl47 0.556 0.131 0.019
Cl48 0.580 0.540 0.508
Cl49 0.635 0.763 0.888
Cl50 0.639 0.496 0.334
Cl51 0.641 0.699 0.127
Cl52 0.651 0.254 0.630
Cl53 0.696 0.806 0.062
Cl54 0.699 0.641 0.627
Cl55 0.704 0.984 0.558
Cl56 0.707 0.082 0.892
Cl57 0.736 0.900 0.738
Cl58 0.745 0.483 0.197
Cl59 0.746 0.349 0.870
Cl60 0.752 0.215 0.488
Cl61 0.758 0.008 0.194
Cl62 0.763 0.635 0.388
Cl63 0.774 0.467 0.803
Cl64 0.785 0.248 0.012
Cl65 0.787 0.177 0.328
Cl66 0.796 0.826 0.886
Cl67 0.806 0.696 0.562
Cl68 0.823 0.213 0.172
Cl69 0.826 0.796 0.386
Cl70 0.869 0.444 0.481
Cl71 0.871 0.031 0.801
Cl72 0.900 0.736 0.238
Cl73 0.904 0.955 0.527
Cl74 0.918 0.293 0.608
Cl75 0.955 0.904 0.027
Cl76 0.969 0.129 0.699
Cl77 0.974 0.498 0.084
Cl78 0.979 0.445 0.237
Cl79 0.984 0.704 0.058
Cl80 0.992 0.242 0.306

=====

(3)
The following is a PBE calculation of a relaxed Si3CCl8 crystal, from the Materials Project database.

Values from the calculation:
- Total energy: -104.810 eV for the cell shown
- E_form: -1.419 eV per atom
- Theoretical density: 1.78 g/cm3
- Calculated volume: 707.4 Å³/cell
- Space-group type: No. 2

Cell lengths 9.040, 9.491, 9.636 Å; angles 96.90, 115.66, 102.13 degrees
Element x y z (fractional)
Si1 0.020 0.208 0.272
Si2 0.102 0.934 0.095
Si3 0.295 0.281 0.159
Si4 0.705 0.719 0.841
Si5 0.898 0.066 0.905
Si6 0.980 0.792 0.728
C1 0.087 0.136 0.119
C2 0.913 0.864 0.881
Cl1 0.084 0.826 0.260
Cl2 0.085 0.623 0.782
Cl3 0.156 0.946 0.703
Cl4 0.226 0.285 0.494
Cl5 0.278 0.492 0.197
Cl6 0.329 0.922 0.104
Cl7 0.356 0.265 0.978
Cl8 0.496 0.732 0.647
Cl9 0.504 0.268 0.353
Cl10 0.644 0.735 0.022
Cl11 0.671 0.078 0.896
Cl12 0.722 0.508 0.803
Cl13 0.774 0.715 0.506
Cl14 0.844 0.054 0.297
Cl15 0.915 0.377 0.218
Cl16 0.916 0.174 0.740

=====

(4)
The following is a PBE calculation of a relaxed SnCCl3 crystal, from the Materials Project database.

Values from the calculation:
- Offset from the most stable computed form: 486.6 meV per atom
- Total energy: -14.357 eV for the cell shown
- E_form: 0.517 eV per atom
- Theoretical density: 2.69 g/cm3
- Calculated volume: 146.3 Å³/cell
- Space-group type: No. 221

Cell lengths 5.269, 5.269, 5.269 Å; angles 90.00, 90.00, 90.00 degrees
Element x y z (fractional)
Sn1 0.000 0.000 0.000
C1 0.500 0.500 0.500
Cl1 0.000 0.000 0.500
Cl2 0.000 0.500 0.000
Cl3 0.500 0.000 0.000

=====

(5)
The following is a PBE calculation of a relaxed SnCCl3 crystal, from the Materials Project database.

Values from the calculation:
- Offset from the most stable computed form: 0.0 meV per atom
- Total energy: -16.790 eV for the cell shown
- E_form: 0.030 eV per atom
- Theoretical density: 2.37 g/cm3
- Calculated volume: 166.1 Å³/cell
- Space-group type: No. 8

Cell lengths 7.183, 7.183, 3.891 Å; angles 92.90, 92.90, 123.68 degrees
Element x y z (fractional)
Sn1 0.000 0.000 0.000
C1 0.863 0.863 0.467
Cl1 0.111 0.758 0.301
Cl2 0.346 0.346 0.017
Cl3 0.758 0.111 0.301

=====

(6)
The following is a PBE calculation of a relaxed SnCCl3 crystal, from the Materials Project database.

Values from the calculation:
- Offset from the most stable computed form: 125.9 meV per atom
- Total energy: -16.160 eV for the cell shown
- E_form: 0.156 eV per atom
- Theoretical density: 3.29 g/cm3
- Calculated volume: 119.8 Å³/cell
- Space-group type: No. 160

Cell lengths 4.997, 4.997, 4.997 Å; angles 80.06, 80.06, 80.06 degrees
Element x y z (fractional)
Sn1 0.000 0.000 0.000
C1 0.432 0.432 0.432
Cl1 0.044 0.501 0.501
Cl2 0.501 0.044 0.501
Cl3 0.501 0.501 0.044

=====

(7)
The following is a PBE calculation of a relaxed SnC2Cl2 crystal, from the Materials Project database.

Values from the calculation:
- Offset from the most stable computed form: 90.7 meV per atom
- Total energy: -49.556 eV for the cell shown
- E_form: 0.032 eV per atom
- Theoretical density: 2.76 g/cm3
- Calculated volume: 257.1 Å³/cell
- Space-group type: No. 74

Cell lengths 7.593, 7.593, 7.593 Å; angles 139.33, 83.00, 111.31 degrees
Element x y z (fractional)
Sn1 0.302 0.052 0.250
Sn2 0.698 0.948 0.750
C1 0.005 0.130 0.625
C2 0.005 0.380 0.875
C3 0.995 0.620 0.125
C4 0.995 0.870 0.375
Cl1 0.316 0.736 0.580
Cl2 0.343 0.264 0.080
Cl3 0.657 0.736 0.920
Cl4 0.684 0.264 0.420

=====

(8)
The following is a PBE calculation of a relaxed SnC2Cl2 crystal, from the Materials Project database.

Values from the calculation:
- Offset from the most stable computed form: 0.0 meV per atom
- Total energy: -50.464 eV for the cell shown
- E_form: -0.059 eV per atom
- Theoretical density: 2.47 g/cm3
- Calculated volume: 287.4 Å³/cell
- Space-group type: No. 74

Cell lengths 7.492, 7.492, 7.492 Å; angles 111.06, 90.47, 129.22 degrees
Element x y z (fractional)
Sn1 0.258 0.008 0.250
Sn2 0.742 0.992 0.750
C1 0.067 0.015 0.448
C2 0.067 0.618 0.052
C3 0.933 0.382 0.948
C4 0.933 0.985 0.552
Cl1 0.319 0.240 0.080
Cl2 0.340 0.760 0.580
Cl3 0.660 0.240 0.420
Cl4 0.681 0.760 0.920